Record 1
Hf4Fe4Ge7 | GGA-PBE | relaxed

Calculated values
The calculation puts the energy at -7.562 eV per atom. As for the crystal system: tetragonal.

a b c (Å): 13.3606 13.3606 5.1459
angles (deg): 90.00 90.00 90.00
Space group I4/mmm (No. 139)
Inequivalent atoms, fractional coordinates:
Hf (0.0000, 0.1949, 0.0000) (multiplicity 8)
Hf (0.1396, 0.1396, 0.5000) (multiplicity 8)
Fe (0.1488, 0.3512, 0.2500) (multiplicity 16)
Ge (0.0000, 0.0000, 0.2512) (multiplicity 4)
Ge (0.0000, 0.2903, 0.5000) (multiplicity 8)
Ge (0.0000, 0.4063, 0.0000) (multiplicity 8)
Ge (0.2062, 0.2062, 0.0000) (multiplicity 8)

***

Record 2
HoFeGe2 | GGA-PBE | relaxed

Calculated values
The calculation puts the spin magnetization at 0.01 Bohr magnetons per cell. The calculation puts the energy at -6.022 eV per atom. As for the crystal system: orthorhombic.

a b c (Å): 4.1224 16.5816 4.2052
angles (deg): 90.00 90.00 90.00
Space group Cmcm (No. 63)
Inequivalent atoms, fractional coordinates:
Ho (0.0000, 0.1083, 0.2500) (multiplicity 4)
Fe (0.0000, 0.3190, 0.2500) (multiplicity 4)
Ge (0.0000, 0.2517, 0.7500) (multiplicity 4)
Ge (0.0000, 0.4551, 0.2500) (multiplicity 4)

***

Record 3
HoFe4Ge2 | GGA-PBE | relaxed

Calculated values
The calculation puts the spin magnetization at 14.29 Bohr magnetons per cell. The calculation puts the energy at -7.108 eV per atom. As for the crystal system: tetragonal.

a b c (Å): 7.2619 7.2619 3.8569
angles (deg): 90.00 90.00 90.00
Space group P4_2/mnm (No. 136)
Inequivalent atoms, fractional coordinates:
Ho (0.0000, 0.0000, 0.0000) (multiplicity 2)
Fe (0.0896, 0.3521, 0.5000) (multiplicity 8)
Ge (0.2166, 0.7834, 0.5000) (multiplicity 4)

***

Record 4
K2FeGe3Se8 | GGA-PBE | relaxed

Calculated values
The calculation puts the spin magnetization at 16.07 Bohr magnetons per cell. The calculation puts the energy at -4.277 eV per atom. Its MP2020-corrected energy is -254.64 eV per cell. As for the crystal system: monoclinic.

a b c (Å): 7.5819 12.6253 17.8460
angles (deg): 90.00 95.96 90.00
Space group P2_1 (No. 4)
Inequivalent atoms, fractional coordinates:
K (0.2229, 0.0000, 0.0796) (multiplicity 2)
K (0.2371, 0.6272, 0.5769) (multiplicity 2)
K (0.2416, 0.6771, 0.2055) (multiplicity 2)
K (0.2580, 0.9610, 0.6949) (multiplicity 2)
Fe (0.0072, 0.3177, 0.0915) (multiplicity 2)
Fe (0.4475, 0.8212, 0.3933) (multiplicity 2)
Ge (0.0466, 0.2978, 0.5969) (multiplicity 2)
Ge (0.2521, 0.2724, 0.9267) (multiplicity 2)
Ge (0.2663, 0.2475, 0.2649) (multiplicity 2)
Ge (0.2718, 0.3609, 0.4273) (multiplicity 2)
Ge (0.3112, 0.3852, 0.7688) (multiplicity 2)
Ge (0.4876, 0.8374, 0.8935) (multiplicity 2)
Se (0.0084, 0.8927, 0.5247) (multiplicity 2)
Se (0.0278, 0.1772, 0.1863) (multiplicity 2)
Se (0.0289, 0.7333, 0.0340) (multiplicity 2)
Se (0.0569, 0.4449, 0.6875) (multiplicity 2)
Se (0.2132, 0.6924, 0.3937) (multiplicity 2)
Se (0.2235, 0.9430, 0.8922) (multiplicity 2)
Se (0.2246, 0.4322, 0.2998) (multiplicity 2)
Se (0.2452, 0.4403, 0.0973) (multiplicity 2)
Se (0.2774, 0.1991, 0.8014) (multiplicity 2)
Se (0.2897, 0.4571, 0.8940) (multiplicity 2)
Se (0.2993, 0.1762, 0.3925) (multiplicity 2)
Se (0.3161, 0.1976, 0.6000) (multiplicity 2)
Se (0.4106, 0.9220, 0.2736) (multiplicity 2)
Se (0.4441, 0.7281, 0.7779) (multiplicity 2)
Se (0.4829, 0.9402, 0.5033) (multiplicity 2)
Se (0.4987, 0.2022, 0.0069) (multiplicity 2)

***

Record 5
La5FeGe3 | GGA-PBE | relaxed

Calculated values
The calculation puts the spin magnetization at 2.10 Bohr magnetons per cell. The calculation puts the energy at -5.705 eV per atom. As for the crystal system: hexagonal.

a b c (Å): 9.1599 9.1599 6.9993
angles (deg): 90.00 90.00 120.00
Space group P6_3/mcm (No. 193)
Inequivalent atoms, fractional coordinates:
La (0.0000, 0.2481, 0.2500) (multiplicity 6)
La (0.3333, 0.6667, 0.0000) (multiplicity 4)
Fe (0.0000, 0.0000, 0.0000) (multiplicity 2)
Ge (0.0000, 0.3969, 0.7500) (multiplicity 6)

***

Record 6
La15FeGe9 | GGA-PBE | relaxed

Calculated values
The calculation puts the spin magnetization at 5.10 Bohr magnetons per cell. The calculation puts the energy at -5.600 eV per atom. As for the crystal system: hexagonal.

a b c (Å): 15.6060 15.6060 7.0599
angles (deg): 90.00 90.00 120.00
Space group P6_3mc (No. 186)
Inequivalent atoms, fractional coordinates:
La (0.0198, 0.3441, 0.0000) (multiplicity 12)
La (0.0824, 0.1649, 0.2786) (multiplicity 6)
La (0.1702, 0.5851, 0.2598) (multiplicity 6)
La (0.2518, 0.5037, 0.7160) (multiplicity 6)
Fe (0.3333, 0.6667, 0.4847) (multiplicity 2)
Ge (0.0648, 0.5324, 0.7382) (multiplicity 6)
Ge (0.1312, 0.2625, 0.7215) (multiplicity 6)
Ge (0.1980, 0.3961, 0.2879) (multiplicity 6)